Entry 1:
Density functional theory data (GGA-PBE) for crystalline Te2MoW3Se2S4 at its relaxed geometry.

a b c (Å): 3.309 3.309 37.656
angles (deg): 90.00 90.00 120.00
Element x y z (fractional)
Te 0.333 0.667 0.709
Te 0.333 0.667 0.606
Mo 0.667 0.333 0.282
W 0.333 0.667 0.094
W 0.333 0.667 0.470
W 0.667 0.333 0.658
Se 0.667 0.333 0.049
Se 0.667 0.333 0.139
S 0.333 0.667 0.322
S 0.667 0.333 0.429
S 0.667 0.333 0.510
S 0.333 0.667 0.241

Computed properties:
- Corrected total energy (MP2020 scheme): -7.322 eV/atom
- Distance to the lowest polymorph of the same formula: 38.3 meV per atom



Entry 2:
Density functional theory data (GGA-PBE) for crystalline Te2MoWSeS at its relaxed geometry.

a b c (Å): 3.398 3.398 38.713
angles (deg): 90.00 90.00 120.00
Element x y z (fractional)
Te 0.000 0.000 0.706
Te 0.333 0.667 0.046
Te 0.333 0.667 0.142
Te 0.000 0.000 0.609
Mo 0.000 0.000 0.094
Mo 0.000 0.000 0.470
W 0.333 0.667 0.282
W 0.333 0.667 0.658
Se 0.333 0.667 0.427
Se 0.333 0.667 0.512
S 0.000 0.000 0.321
S 0.000 0.000 0.243

Computed properties:
- Corrected total energy (MP2020 scheme): -6.773 eV/atom
- Distance to the lowest polymorph of the same formula: 20.6 meV per atom